1.
A plane-wave DFT calculation with PBE+U was carried out for a relaxed structure of MgMn6O10F2.

a = 5.088 Å, b = 2.979 Å, c = 14.116 Å
α = 90.00°, β = 97.87°, γ = 90.00°
Sites, in units of the cell vectors:
Mg 0.000 0.000 0.000
Mn 0.051 0.500 0.525
Mn 0.057 0.500 0.197
Mn 0.147 0.500 0.813
Mn 0.501 0.000 0.046
Mn 0.600 0.000 0.669
Mn 0.612 0.000 0.343
O 0.244 0.500 0.075
O 0.259 0.000 0.906
O 0.269 0.000 0.252
O 0.272 0.000 0.577
O 0.454 0.500 0.735
O 0.755 0.500 0.607
O 0.766 0.500 0.282
O 0.852 0.000 0.129
O 0.909 0.000 0.444
O 0.927 0.000 0.762
F 0.445 0.500 0.408
F 0.750 0.500 0.961

Results
Its total energy after the MP2020 corrections is -7.845 eV per atom. For the total energy, the calculation gives -131.247 eV per cell. The energy of formation is -2.06 eV per atom. As for the distance to the lowest polymorph of the same formula: 69 meV per atom. Its symmetry is Pm. As for the magnetic moment: 22.00 Bohr magnetons per cell.

***

2.
A plane-wave DFT calculation with PBE+U was carried out for a relaxed structure of La2MgCo2Sb2Pb2O12.

a = 6.026 Å, b = 7.253 Å, c = 7.365 Å
α = 91.44°, β = 90.94°, γ = 98.13°
Sites, in units of the cell vectors:
La 0.000 0.000 0.000
La 0.481 0.253 0.552
Mg 0.264 0.647 0.523
Co 0.034 0.456 0.828
Co 0.492 0.909 0.267
Sb 0.471 0.868 0.799
Sb 0.993 0.346 0.301
Pb 0.476 0.443 0.071
Pb 0.837 0.812 0.486
O 0.119 0.385 0.565
O 0.154 0.733 0.807
O 0.201 0.585 0.260
O 0.261 0.204 0.257
O 0.352 0.105 0.852
O 0.376 0.922 0.515
O 0.551 0.636 0.670
O 0.604 0.822 0.040
O 0.716 0.461 0.348
O 0.767 0.010 0.734
O 0.801 0.100 0.328
O 0.928 0.312 0.028

Results
Its total energy after the MP2020 corrections is -6.882 eV per atom. For the total energy, the calculation gives -133.005 eV per cell. The energy of formation is -2.08 eV per atom. As for the distance to the lowest polymorph of the same formula: 96 meV per atom. Its symmetry is P1. As for the magnetic moment: 0.00 Bohr magnetons per cell.

***

3.
A plane-wave DFT calculation with PBE+U was carried out for a relaxed structure of Li2Mn2Si3O9.

a = 10.180 Å, b = 10.180 Å, c = 12.521 Å
α = 90.00°, β = 90.00°, γ = 120.00°
Sites, in units of the cell vectors:
Li 0.000 0.657 0.000
Li 0.047 0.183 0.770
Li 0.136 0.953 0.103
Li 0.172 0.472 0.601
Li 0.173 0.046 0.599
Li 0.301 0.828 0.935
Li 0.343 0.342 0.667
Li 0.528 0.699 0.268
Li 0.658 0.000 0.333
Li 0.817 0.864 0.436
Li 0.873 0.827 0.932
Li 0.954 0.127 0.265
Mn 0.188 0.501 0.073
Mn 0.313 0.812 0.406
Mn 0.335 0.308 0.172
Mn 0.368 0.338 0.919
Mn 0.486 0.163 0.758
Mn 0.499 0.687 0.740
Mn 0.662 0.029 0.585
Mn 0.677 0.514 0.091
Mn 0.692 0.027 0.838
Mn 0.837 0.323 0.424
Mn 0.971 0.632 0.252
Mn 0.973 0.665 0.505
Si 0.043 0.183 0.501
Si 0.139 0.957 0.834
Si 0.168 0.006 0.356
Si 0.169 0.508 0.819
Si 0.192 0.476 0.342
Si 0.284 0.808 0.675
Si 0.339 0.831 0.152
Si 0.466 0.186 0.486
Si 0.492 0.661 0.485
Si 0.508 0.130 0.032
Si 0.524 0.716 0.009
Si 0.622 0.492 0.365
Si 0.720 0.534 0.819
Si 0.814 0.280 0.152
Si 0.817 0.861 0.168
Si 0.838 0.832 0.690
Si 0.870 0.378 0.698
Si 0.994 0.162 0.023
O 0.010 0.371 0.764
O 0.076 0.821 0.360
O 0.083 0.058 0.446
O 0.088 0.554 0.359
O 0.101 0.879 0.951
O 0.121 0.222 0.618
O 0.129 0.332 0.424
O 0.147 0.578 0.928
O 0.159 0.710 0.145
O 0.179 0.255 0.027
O 0.190 0.092 0.244
O 0.203 0.871 0.757
O 0.212 0.779 0.557
O 0.221 0.433 0.223
O 0.236 0.638 0.722
O 0.255 0.136 0.821
O 0.290 0.449 0.812
O 0.334 0.045 0.411
O 0.361 0.990 0.097
O 0.362 0.599 0.389
O 0.397 0.176 0.605
O 0.401 0.764 0.055
O 0.422 0.568 0.595
O 0.432 0.853 0.261
O 0.446 0.534 0.026
O 0.466 0.912 0.693
O 0.488 0.279 0.048
O 0.491 0.340 0.426
O 0.509 0.070 0.910
O 0.551 0.841 0.478
O 0.552 0.386 0.810
O 0.560 0.491 0.244
O 0.567 0.788 0.890
O 0.614 0.166 0.477
O 0.629 0.639 0.430
O 0.660 0.150 0.093
O 0.668 0.797 0.090
O 0.711 0.666 0.745
O 0.721 0.209 0.715
O 0.745 0.924 0.694
O 0.778 0.899 0.284
O 0.779 0.603 0.938
O 0.791 0.512 0.382
O 0.824 0.221 0.271
O 0.834 0.448 0.144
O 0.850 0.509 0.760
O 0.864 0.119 0.487
O 0.881 0.745 0.154
O 0.902 0.810 0.577
O 0.908 0.098 0.911
O 0.930 0.440 0.577
O 0.942 0.025 0.112
O 0.955 0.289 0.078
O 0.975 0.917 0.779

Results
Its total energy after the MP2020 corrections is -7.962 eV per atom. For the total energy, the calculation gives -707.248 eV per cell. The energy of formation is -2.78 eV per atom. As for the distance to the lowest polymorph of the same formula: 0 meV per atom. Its symmetry is P3_2. As for the magnetic moment: 30.00 Bohr magnetons per cell.

***

4.
A plane-wave DFT calculation with PBE+U was carried out for a relaxed structure of MgCr4O6.

a = 5.283 Å, b = 5.283 Å, c = 15.243 Å
α = 90.00°, β = 90.00°, γ = 147.03°
Sites, in units of the cell vectors:
Mg 0.159 0.841 0.750
Mg 0.841 0.159 0.250
Cr 0.095 0.905 0.136
Cr 0.095 0.905 0.364
Cr 0.364 0.636 0.046
Cr 0.364 0.636 0.454
Cr 0.636 0.364 0.546
Cr 0.636 0.364 0.954
Cr 0.905 0.095 0.636
Cr 0.905 0.095 0.864
O 0.000 0.000 0.000
O 0.000 0.000 0.500
O 0.199 0.801 0.250
O 0.287 0.713 0.582
O 0.287 0.713 0.918
O 0.458 0.542 0.162
O 0.458 0.542 0.338
O 0.542 0.458 0.662
O 0.542 0.458 0.838
O 0.713 0.287 0.082
O 0.713 0.287 0.418
O 0.801 0.199 0.750

Results
Its total energy after the MP2020 corrections is -8.547 eV per atom. For the total energy, the calculation gives -163.800 eV per cell. The energy of formation is -2.19 eV per atom. Its symmetry is Cmcm. As for the magnetic moment: 28.00 Bohr magnetons per cell.

***

5.
A plane-wave DFT calculation with PBE+U was carried out for a relaxed structure of Li32Mn13Cr3O48.

a = 5.000 Å, b = 8.677 Å, c = 19.463 Å
α = 81.76°, β = 85.21°, γ = 89.75°
Sites, in units of the cell vectors:
Li 0.000 0.000 0.000
Li 0.000 0.000 0.499
Li 0.116 0.794 0.625
Li 0.117 0.794 0.125
Li 0.235 0.588 0.250
Li 0.236 0.588 0.750
Li 0.240 0.918 0.750
Li 0.242 0.918 0.250
Li 0.246 0.248 0.250
Li 0.247 0.248 0.751
Li 0.364 0.044 0.875
Li 0.367 0.043 0.375
Li 0.483 0.834 0.000
Li 0.484 0.837 0.500
Li 0.491 0.168 0.000
Li 0.491 0.168 0.500
Li 0.497 0.500 0.500
Li 0.501 0.503 0.999
Li 0.614 0.294 0.625
Li 0.619 0.293 0.125
Li 0.736 0.087 0.749
Li 0.737 0.089 0.249
Li 0.741 0.418 0.250
Li 0.742 0.419 0.750
Li 0.747 0.748 0.250
Li 0.749 0.749 0.749
Li 0.866 0.544 0.875
Li 0.867 0.543 0.375
Li 0.983 0.337 0.000
Li 0.985 0.337 0.500
Li 0.991 0.668 0.000
Li 0.991 0.668 0.500
Mn 0.114 0.125 0.126
Mn 0.119 0.461 0.624
Mn 0.365 0.708 0.876
Mn 0.366 0.377 0.375
Mn 0.366 0.377 0.875
Mn 0.367 0.710 0.375
Mn 0.616 0.958 0.625
Mn 0.617 0.627 0.625
Mn 0.617 0.960 0.125
Mn 0.618 0.628 0.124
Mn 0.866 0.877 0.375
Mn 0.867 0.210 0.375
Mn 0.869 0.211 0.874
Cr 0.111 0.128 0.625
Cr 0.123 0.459 0.125
Cr 0.859 0.878 0.875
O 0.028 0.061 0.319
O 0.030 0.066 0.818
O 0.063 0.383 0.319
O 0.063 0.384 0.819
O 0.064 0.741 0.318
O 0.065 0.742 0.818
O 0.169 0.845 0.932
O 0.169 0.846 0.432
O 0.170 0.203 0.931
O 0.170 0.204 0.431
O 0.204 0.524 0.931
O 0.205 0.525 0.431
O 0.272 0.312 0.069
O 0.280 0.315 0.568
O 0.313 0.634 0.569
O 0.314 0.991 0.068
O 0.316 0.992 0.568
O 0.317 0.635 0.069
O 0.419 0.096 0.182
O 0.420 0.095 0.682
O 0.420 0.455 0.181
O 0.421 0.453 0.681
O 0.454 0.774 0.681
O 0.455 0.776 0.181
O 0.528 0.561 0.319
O 0.528 0.561 0.819
O 0.563 0.883 0.319
O 0.564 0.241 0.318
O 0.564 0.241 0.818
O 0.565 0.881 0.819
O 0.665 0.701 0.931
O 0.669 0.346 0.432
O 0.669 0.346 0.932
O 0.670 0.704 0.431
O 0.705 0.025 0.431
O 0.710 0.025 0.931
O 0.778 0.811 0.569
O 0.779 0.812 0.069
O 0.812 0.133 0.069
O 0.812 0.491 0.068
O 0.814 0.491 0.568
O 0.815 0.131 0.569
O 0.916 0.951 0.681
O 0.918 0.594 0.182
O 0.919 0.596 0.682
O 0.920 0.952 0.181
O 0.954 0.271 0.182
O 0.959 0.275 0.681

Results
Its total energy after the MP2020 corrections is -6.842 eV per atom. For the total energy, the calculation gives -596.175 eV per cell. The energy of formation is -2.19 eV per atom. Its symmetry is P1. As for the magnetic moment: 45.00 Bohr magnetons per cell.

***

6.
A plane-wave DFT calculation with PBE+U was carried out for a relaxed structure of Ba2V5P4O24.

a = 13.272 Å, b = 13.272 Å, c = 7.816 Å
α = 100.90°, β = 100.90°, γ = 123.76°
Sites, in units of the cell vectors:
Ba 0.000 0.000 0.000
Ba 0.147 0.147 0.579
Ba 0.297 0.793 0.536
Ba 0.793 0.297 0.536
V 0.037 0.674 0.799
V 0.039 0.412 0.273
V 0.196 0.482 0.739
V 0.351 0.351 0.208
V 0.412 0.039 0.273
V 0.482 0.196 0.739
V 0.602 0.878 0.329
V 0.674 0.037 0.799
V 0.695 0.695 0.825
V 0.878 0.602 0.329
P 0.103 0.840 0.222
P 0.244 0.979 0.852
P 0.325 0.581 0.219
P 0.489 0.750 0.851
P 0.581 0.325 0.219
P 0.750 0.489 0.851
P 0.840 0.103 0.222
P 0.979 0.244 0.852
O 0.027 0.347 0.758
O 0.036 0.780 0.002
O 0.043 0.307 0.070
O 0.043 0.730 0.305
O 0.090 0.945 0.292
O 0.091 0.476 0.517
O 0.111 0.616 0.867
O 0.141 0.995 0.784
O 0.186 0.831 0.797
O 0.214 0.557 0.291
O 0.237 0.395 0.646
O 0.241 0.241 0.278
O 0.246 0.889 0.274
O 0.283 0.541 0.009
O 0.292 0.292 0.979
O 0.307 0.043 0.070
O 0.340 0.663 0.760
O 0.347 0.027 0.758
O 0.376 0.509 0.289
O 0.395 0.237 0.646
O 0.432 0.731 0.321
O 0.462 0.958 0.195
O 0.476 0.091 0.517
O 0.509 0.376 0.289
O 0.533 0.866 0.783
O 0.540 0.677 0.773
O 0.541 0.283 0.009
O 0.541 0.796 0.064
O 0.557 0.214 0.291
O 0.611 0.975 0.545
O 0.616 0.111 0.867
O 0.663 0.340 0.760
O 0.677 0.540 0.773
O 0.692 0.839 0.401
O 0.730 0.043 0.305
O 0.731 0.432 0.321
O 0.780 0.036 0.002
O 0.783 0.783 0.714
O 0.784 0.784 0.046
O 0.796 0.541 0.064
O 0.831 0.186 0.797
O 0.839 0.692 0.401
O 0.866 0.533 0.783
O 0.889 0.246 0.274
O 0.945 0.090 0.292
O 0.958 0.462 0.195
O 0.975 0.611 0.545
O 0.995 0.141 0.784

Results
Its total energy after the MP2020 corrections is -8.110 eV per atom. For the total energy, the calculation gives -517.738 eV per cell. The energy of formation is -2.69 eV per atom. Its symmetry is Cm. As for the magnetic moment: 2.03 Bohr magnetons per cell.

***

7.
A plane-wave DFT calculation with PBE+U was carried out for a relaxed structure of MgMn3VCr2P6O24.

a = 8.623 Å, b = 8.642 Å, c = 8.659 Å
α = 60.56°, β = 89.70°, γ = 60.25°
Sites, in units of the cell vectors:
Mg 0.000 0.000 0.000
Mn 0.120 0.762 0.365
Mn 0.596 0.808 0.802
Mn 0.872 0.252 0.635
V 0.390 0.211 0.193
Cr 0.254 0.489 0.771
Cr 0.742 0.517 0.231
P 0.199 0.301 0.498
P 0.299 0.704 0.994
P 0.497 0.713 0.503
P 0.696 0.002 0.002
P 0.787 0.002 0.501
P 0.999 0.300 0.006
O 0.059 0.076 0.173
O 0.132 0.920 0.828
O 0.158 0.343 0.981
O 0.193 0.447 0.562
O 0.252 0.697 0.168
O 0.265 0.341 0.325
O 0.321 0.523 0.976
O 0.325 0.070 0.665
O 0.361 0.638 0.570
O 0.391 0.948 0.339
O 0.497 0.180 0.983
O 0.498 0.668 0.011
O 0.604 0.672 0.675
O 0.632 0.572 0.435
O 0.655 0.061 0.338
O 0.676 0.822 0.022
O 0.721 0.937 0.675
O 0.747 0.117 0.832
O 0.791 0.206 0.437
O 0.846 0.471 0.036
O 0.861 0.888 0.171
O 0.940 0.308 0.834
O 0.990 0.375 0.431
O 0.996 0.804 0.566

Results
Its total energy after the MP2020 corrections is -8.118 eV per atom. For the total energy, the calculation gives -273.168 eV per cell. The energy of formation is -2.48 eV per atom. As for the distance to the lowest polymorph of the same formula: 51 meV per atom. Its symmetry is P1. As for the magnetic moment: 20.49 Bohr magnetons per cell.

***

8.
A plane-wave DFT calculation with PBE+U was carried out for a relaxed structure of LiV6O7F5.

a = 4.897 Å, b = 5.672 Å, c = 7.836 Å
α = 84.69°, β = 88.27°, γ = 87.12°
Sites, in units of the cell vectors:
Li 0.000 0.000 0.000
V 0.026 0.950 0.566
V 0.060 0.314 0.236
V 0.490 0.421 0.568
V 0.496 0.766 0.235
V 0.498 0.110 0.875
V 0.942 0.566 0.892
O 0.188 0.293 0.987
O 0.189 0.985 0.323
O 0.307 0.134 0.652
O 0.325 0.489 0.339
O 0.681 0.400 0.785
O 0.810 0.576 0.135
O 0.820 0.904 0.799
F 0.189 0.628 0.668
F 0.310 0.801 0.992
F 0.682 0.071 0.120
F 0.698 0.740 0.473
F 0.817 0.249 0.461

Results
Its total energy after the MP2020 corrections is -8.002 eV per atom. For the total energy, the calculation gives -134.723 eV per cell. The energy of formation is -2.71 eV per atom. As for the distance to the lowest polymorph of the same formula: 46 meV per atom. Its symmetry is P1. As for the magnetic moment: 12.00 Bohr magnetons per cell.